The following is a DFT calculation (GGA+U) of a relaxed structure of Li2Ti3CoO8.

Lattice parameters (Å, degrees): 5.9455 10.2972 11.4343 116.76 105.06 90.00
Fractional coordinates of all 56 atoms:
Li  0.0000  0.0000  0.0000
Li  0.0544  0.3868  0.1083
Li  0.2505  0.2494  0.5001
Li  0.3048  0.9707  0.6092
Li  0.5000  0.4998  0.0003
Li  0.5549  0.8873  0.1091
Li  0.7505  0.7493  0.5002
Li  0.8051  0.4710  0.6094
Ti  0.1390  0.3076  0.7841
Ti  0.1422  0.9731  0.2837
Ti  0.1454  0.8067  0.7835
Ti  0.3892  0.7259  0.2840
Ti  0.3920  0.5596  0.7832
Ti  0.3956  0.2255  0.2837
Ti  0.6386  0.8067  0.7833
Ti  0.6418  0.4717  0.2827
Ti  0.6458  0.3076  0.7841
Ti  0.8890  0.2256  0.2839
Ti  0.8920  0.0598  0.7834
Ti  0.8957  0.7258  0.2839
Co  0.0046  0.6728  0.0084
Co  0.2515  0.5839  0.5023
Co  0.5018  0.1672  0.0031
Co  0.7536  0.0850  0.5085
O  0.0590  0.0934  0.6703
O  0.0855  0.6023  0.1703
O  0.0921  0.0914  0.1837
O  0.1120  0.5936  0.6709
O  0.1830  0.0247  0.8921
O  0.1965  0.3538  0.3926
O  0.1976  0.8634  0.3945
O  0.2081  0.5239  0.8914
O  0.3091  0.8257  0.1703
O  0.3359  0.8177  0.6711
O  0.3423  0.3408  0.6839
O  0.3613  0.3265  0.1712
O  0.4334  0.1161  0.3915
O  0.4466  0.2876  0.8928
O  0.4475  0.7800  0.8945
O  0.4591  0.6170  0.3925
O  0.5595  0.5936  0.6709
O  0.5855  0.1024  0.1706
O  0.5924  0.5914  0.1841
O  0.6120  0.0934  0.6704
O  0.6835  0.5240  0.8916
O  0.6963  0.8538  0.3918
O  0.6974  0.3635  0.3944
O  0.7093  0.0247  0.8919
O  0.8101  0.3264  0.1710
O  0.8352  0.3167  0.6702
O  0.8424  0.8416  0.6840
O  0.8620  0.8257  0.1703
O  0.9340  0.6169  0.3925
O  0.9463  0.7875  0.8921
O  0.9473  0.2799  0.8943
O  0.9589  0.1162  0.3917

Values from the calculation:
E_form (meV per atom): -2928
Distance to the lowest polymorph of the same formula (eV per atom): 0.057

The following is a DFT calculation (GGA+U) of a relaxed structure of Li4Mn3Nb2V3O16.

Lattice parameters (Å, degrees): 5.8898 6.0203 9.7765 88.51 89.95 60.76
Fractional coordinates of all 28 atoms:
Li  0.0000  0.0000  0.0000
Li  0.0011  0.9956  0.4980
Li  0.3261  0.3417  0.4093
Li  0.6541  0.6882  0.9078
Mn  0.1666  0.1736  0.7231
Mn  0.6572  0.1732  0.7229
Mn  0.8305  0.3353  0.2203
Nb  0.3227  0.3522  0.0025
Nb  0.6668  0.6636  0.5036
V  0.1677  0.6609  0.7294
V  0.3484  0.8290  0.2269
V  0.8179  0.8294  0.2260
O  0.0043  0.9867  0.3089
O  0.0046  0.9884  0.8101
O  0.0261  0.5045  0.8562
O  0.1633  0.6690  0.1101
O  0.1697  0.1643  0.0999
O  0.3203  0.3558  0.6225
O  0.3397  0.8144  0.5995
O  0.4667  0.5037  0.8559
O  0.4711  0.0532  0.8493
O  0.5109  0.5282  0.3475
O  0.5138  0.9691  0.3531
O  0.6557  0.6836  0.1144
O  0.6632  0.1642  0.0989
O  0.8374  0.3236  0.5984
O  0.8430  0.8147  0.5991
O  0.9564  0.5282  0.3471

Values from the calculation:
E_form (meV per atom): -2489
Distance to the lowest polymorph of the same formula (eV per atom): 0.027

The following is a DFT calculation (GGA+U) of a relaxed structure of MnO2.

Lattice parameters (Å, degrees): 5.9773 5.9773 5.9773 58.49 58.49 58.49
Fractional coordinates of all 12 atoms:
Mn  0.0000  0.0000  0.0000
Mn  0.3820  0.3820  0.8712
Mn  0.3820  0.8712  0.3820
Mn  0.8712  0.3820  0.3820
O  0.1273  0.1273  0.5926
O  0.1273  0.5926  0.1273
O  0.1405  0.1405  0.1405
O  0.1760  0.6306  0.6306
O  0.5926  0.1273  0.1273
O  0.6153  0.6153  0.6153
O  0.6306  0.1760  0.6306
O  0.6306  0.6306  0.1760

Values from the calculation:
E_form (meV per atom): -1596

The following is a DFT calculation (GGA+U) of a relaxed structure of Li2VP2O7.

Lattice parameters (Å, degrees): 6.7365 8.8961 10.7208 97.98 106.79 110.38
Fractional coordinates of all 48 atoms:
Li  0.8086  0.9839  0.1090
Li  0.8088  0.9837  0.6089
Li  0.1914  0.0161  0.3910
Li  0.1912  0.0163  0.8910
Li  0.2222  0.7469  0.1639
Li  0.2221  0.7469  0.6639
Li  0.7778  0.2531  0.3361
Li  0.7779  0.2531  0.8361
V  0.5951  0.3665  0.5446
V  0.4048  0.6336  0.9555
V  0.5951  0.3665  0.0443
V  0.4048  0.6334  0.4557
P  0.1393  0.3839  0.1132
P  0.1392  0.3839  0.6132
P  0.8607  0.6161  0.3868
P  0.8608  0.6161  0.8868
P  0.7036  0.8800  0.3082
P  0.7037  0.8800  0.8082
P  0.2964  0.1200  0.1918
P  0.2963  0.1200  0.6918
O  0.8914  0.3387  0.0298
O  0.8913  0.3387  0.5299
O  0.1086  0.6613  0.4701
O  0.1087  0.6613  0.9701
O  0.2891  0.4085  0.0259
O  0.2889  0.4084  0.5259
O  0.7109  0.5915  0.4741
O  0.7110  0.5916  0.9741
O  0.5409  0.7951  0.1619
O  0.5409  0.7952  0.6619
O  0.4591  0.2049  0.3381
O  0.4591  0.2048  0.8381
O  0.4136  0.1313  0.0880
O  0.4135  0.1312  0.5880
O  0.5864  0.8687  0.4120
O  0.5865  0.8688  0.9120
O  0.1353  0.9437  0.1811
O  0.1351  0.9437  0.6810
O  0.8647  0.0563  0.3189
O  0.8649  0.0563  0.8189
O  0.7640  0.4741  0.2600
O  0.7641  0.4741  0.7601
O  0.2360  0.5259  0.2400
O  0.2359  0.5259  0.7399
O  0.8798  0.7903  0.3453
O  0.8798  0.7902  0.8453
O  0.1202  0.2097  0.1547
O  0.1202  0.2098  0.6547

Values from the calculation:
E_form (meV per atom): -2645
Distance to the lowest polymorph of the same formula (eV per atom): 0.028

The following is a DFT calculation (GGA+U) of a relaxed structure of LiLaW2O8.

Lattice parameters (Å, degrees): 7.2745 7.4976 7.6264 113.73 115.66 91.32
Fractional coordinates of all 24 atoms:
Li  0.2503  0.1769  0.0100
Li  0.7497  0.8231  0.9900
La  0.1851  0.7872  0.4615
La  0.8149  0.2128  0.5385
W  0.2619  0.7925  0.0288
W  0.3543  0.3972  0.7175
W  0.6457  0.6028  0.2825
W  0.7381  0.2075  0.9712
O  0.0426  0.8027  0.0885
O  0.1392  0.4906  0.8018
O  0.1800  0.1426  0.5636
O  0.1847  0.8654  0.8094
O  0.2948  0.4889  0.5192
O  0.3848  0.6706  0.2559
O  0.4452  0.0348  0.2487
O  0.4812  0.3276  0.0094
O  0.5188  0.6724  0.9906
O  0.5548  0.9652  0.7513
O  0.6152  0.3294  0.7441
O  0.7052  0.5111  0.4808
O  0.8153  0.1346  0.1906
O  0.8200  0.8574  0.4364
O  0.8608  0.5094  0.1982
O  0.9574  0.1973  0.9115

Values from the calculation:
E_form (meV per atom): -2668
Distance to the lowest polymorph of the same formula (eV per atom): 0.000

The following is a DFT calculation (GGA+U) of a relaxed structure of Li4NbFe3O12.

Lattice parameters (Å, degrees): 4.9440 8.2516 5.0232 90.00 91.00 90.00
Fractional coordinates of all 20 atoms:
Li  0.0000  0.0000  0.0000
Li  0.0000  0.3770  0.5000
Li  0.5000  0.4785  0.5000
Li  0.5000  0.8787  0.0000
Nb  0.0000  0.7816  0.5000
Fe  0.0000  0.5804  0.0000
Fe  0.5000  0.0944  0.5000
Fe  0.5000  0.2790  0.0000
O  0.1928  0.5884  0.3181
O  0.2065  0.7529  0.8392
O  0.2462  0.4245  0.8462
O  0.2597  0.9355  0.3538
O  0.3044  0.1059  0.8166
O  0.3058  0.2622  0.3180
O  0.6942  0.2622  0.6820
O  0.6956  0.1059  0.1834
O  0.7403  0.9355  0.6462
O  0.7538  0.4245  0.1538
O  0.7935  0.7529  0.1608
O  0.8072  0.5884  0.6819

Values from the calculation:
E_form (meV per atom): -1765

Q: Number 6 is which compound?
A: Li4NbFe3O12

Q: Among the records above, which one has the lowest E_form?
A: Li2Ti3CoO8

Q: Number 2 is which compound?
A: Li4Mn3Nb2V3O16

Q: Which of these has the lowest E_form?
A: Li2Ti3CoO8